Compound: MgTi2Co4O8
Source: the Materials Project database
Functional: PBE with a Hubbard U
Structure: relaxed

corrected total energy (MP2020 scheme): -7.6756 eV/atom

a b c (Å): 6.287 5.965 5.955
angles (deg): 60.09 61.67 62.51
Fractional coordinates of all 15 atoms:
1 O 0.789 0.399 0.405
2 O 0.858 0.906 0.872
3 Co 0.618 0.630 0.124
4 Ti 0.669 0.092 0.621
5 Co 0.142 0.284 0.284
6 O 0.441 0.867 0.846
7 O 0.887 0.413 0.851
8 O 0.358 0.852 0.395
9 Co 0.086 0.997 0.958
10 O 0.858 0.905 0.365
11 Ti 0.168 0.580 0.626
12 Mg 0.602 0.120 0.141
13 O 0.391 0.350 0.865
14 O 0.388 0.352 0.395
15 Co 0.620 0.628 0.628